Material: LiCoSiO4
Method: DFT, PBE+U
State: relaxed

Properties
V = 177.0 Å³/cell
DFT formation energy = -2.33 eV/atom

Cell lengths 5.0882, 5.2150, 8.3524 Å; angles 90.00, 127.02, 90.00 degrees
Closest atoms and distances in Å follow each position.
Element x y z (fractional)
Li1 0.0000 0.1719 0.0000  4 O 2.00-2.09
Li2 0.0000 0.8281 0.5000  4 O 2.00-2.09
Co1 0.5015 0.1791 0.4972  4 O 1.87-1.88
Co2 0.5015 0.8209 0.9972  4 O 1.87-1.88
Si1 0.2550 0.3120 0.7504  4 O 1.64-1.65
Si2 0.2550 0.6880 0.2504  4 O 1.64-1.65
O1 0.2207 0.3782 0.2666  1 Si 1.64
O2 0.2207 0.6218 0.7666  1 Si 1.64
O3 0.3341 0.1570 0.9466  1 Si 1.65
O4 0.3341 0.8430 0.4466  1 Si 1.65
O5 0.5583 0.2513 0.7354  1 Si 1.65
O6 0.5583 0.7487 0.2354  1 Si 1.65
O7 0.9151 0.1897 0.5508  1 Si 1.64
O8 0.9151 0.8103 0.0508  1 Si 1.64

---

Material: LiCoSiO4
Method: DFT, PBE+U
State: relaxed

Properties
V = 175.0 Å³/cell
DFT formation energy = -2.33 eV/atom

Cell lengths 5.0721, 5.4344, 8.0269 Å; angles 90.00, 127.74, 90.00 degrees
Closest atoms and distances in Å follow each position.
Element x y z (fractional)
Li1 0.0000 0.1565 0.0000  4 O 2.00-2.13
Li2 0.0000 0.8435 0.5000  4 O 2.00-2.13
Co1 0.7461 0.3192 0.2443  4 O 1.84-1.88
Co2 0.7461 0.6808 0.7443  4 O 1.84-1.88
Si1 0.4924 0.1802 0.4979  4 O 1.64-1.65
Si2 0.4924 0.8198 0.9979  4 O 1.64-1.65
O1 0.1398 0.1715 0.4661  1 Si 1.65
O2 0.1398 0.8285 0.9661  1 Si 1.65
O3 0.4118 0.2802 0.2776  1 Si 1.64
O4 0.4118 0.7198 0.7776  1 Si 1.64
O5 0.6464 0.0990 0.0360  1 Si 1.65
O6 0.6464 0.9010 0.5360  1 Si 1.65
O7 0.7627 0.3476 0.7086  1 Si 1.65, 1 Co 1.84
O8 0.7627 0.6524 0.2086  1 Si 1.65, 1 Co 1.84

---

Question: What is the formula in the first record?
Answer: LiCoSiO4

---

Question: What is the formula in the second record?
Answer: LiCoSiO4

---

Question: Which value of DFT formation energy does entry 1 give?
Answer: -2.33 eV/atom

---

Question: Look up the V of the first one.
Answer: 177.0 Å³/cell